Entry 1:
CaLaTaCrO6, optimized geometry, DFT PBE+U; energy of formation from the pure elements = -3293 meV per atom
1.0
0.000 5.655 0.000
-5.450 0.000 8.491
5.537 0.000 8.568
Ca La Ta Cr O
4 4 4 4 24
Direct
0.450 0.133 0.611
0.450 0.633 0.111
0.050 0.633 0.611
0.050 0.133 0.111
0.954 0.368 0.387
0.954 0.868 0.887
0.546 0.868 0.387
0.546 0.368 0.887
0.003 0.751 0.251
0.003 0.251 0.751
0.497 0.251 0.251
0.497 0.751 0.751
0.998 0.499 0.001
0.502 0.999 0.001
0.998 0.999 0.501
0.502 0.499 0.501
0.453 0.086 0.193
0.453 0.586 0.693
0.047 0.086 0.693
0.047 0.586 0.193
0.209 0.368 0.582
0.209 0.868 0.082
0.291 0.868 0.583
0.291 0.368 0.083
0.216 0.181 0.385
0.216 0.681 0.885
0.284 0.681 0.385
0.284 0.181 0.885
0.719 0.317 0.617
0.719 0.817 0.117
0.781 0.817 0.617
0.781 0.317 0.117
0.702 0.130 0.419
0.702 0.630 0.919
0.798 0.630 0.419
0.798 0.130 0.919
0.957 0.917 0.304
0.957 0.417 0.804
0.543 0.917 0.804
0.543 0.417 0.304

Entry 2:
Zn3Ni3As4O16, optimized geometry, DFT PBE+U; energy of formation from the pure elements = -1607 meV per atom; crystal system = monoclinic
1.0
8.561 0.000 0.000
0.000 5.184 0.000
-5.486 0.000 14.840
Zn Ni As O
6 6 8 32
Direct
0.000 0.000 0.000
0.000 0.500 0.500
0.295 0.054 0.281
0.295 0.446 0.781
0.705 0.554 0.219
0.705 0.946 0.719
0.212 0.513 0.377
0.212 0.987 0.877
0.500 0.000 0.500
0.500 0.500 0.000
0.788 0.013 0.123
0.788 0.487 0.623
0.039 0.008 0.649
0.039 0.492 0.149
0.418 0.515 0.603
0.418 0.985 0.103
0.582 0.015 0.897
0.582 0.485 0.397
0.961 0.508 0.851
0.961 0.992 0.351
0.009 0.680 0.629
0.009 0.820 0.129
0.095 0.176 0.572
0.095 0.324 0.072
0.148 0.618 0.842
0.148 0.882 0.342
0.194 0.083 0.751
0.194 0.417 0.251
0.249 0.583 0.509
0.249 0.917 0.009
0.393 0.600 0.701
0.393 0.900 0.201
0.423 0.229 0.905
0.423 0.271 0.405
0.487 0.723 0.897
0.487 0.777 0.397
0.513 0.223 0.603
0.513 0.277 0.103
0.577 0.729 0.595
0.577 0.771 0.095
0.607 0.100 0.799
0.607 0.400 0.299
0.751 0.083 0.991
0.751 0.417 0.491
0.806 0.583 0.749
0.806 0.917 0.249
0.852 0.118 0.658
0.852 0.382 0.158
0.905 0.676 0.928
0.905 0.824 0.428
0.991 0.180 0.871
0.991 0.320 0.371

Entry 3:
Fe3O4F2, optimized geometry, DFT PBE+U; excess energy over the best structure of this formula in the dataset = 21 meV/atom; energy of formation from the pure elements = -1781 meV per atom; crystal system = monoclinic
1.0
4.659 0.000 0.000
0.000 4.656 0.000
-4.577 0.000 9.182
Fe O F
6 8 4
Direct
0.000 0.000 0.000
0.000 0.500 0.500
0.310 0.021 0.342
0.310 0.479 0.842
0.690 0.521 0.158
0.690 0.979 0.658
0.019 0.169 0.835
0.019 0.331 0.335
0.301 0.702 0.003
0.301 0.798 0.503
0.699 0.202 0.497
0.699 0.298 0.997
0.981 0.669 0.665
0.981 0.831 0.165
0.370 0.215 0.171
0.370 0.285 0.671
0.630 0.715 0.329
0.630 0.785 0.829